1 | Entry from the Materials Project: a relaxed Ba2CaV2Si4O14 crystal (PBE+U).

POSCAR file:
```
Ba2CaV2Si4O14
1.0
-0.657 -0.225 6.275
7.520 0.340 -0.827
0.665 7.697 -3.437
Ba O Ca V Si
2 14 1 2 4
Direct
0.220 0.287 0.424
0.801 0.734 0.629
0.626 0.074 0.740
0.409 0.893 0.287
0.053 0.159 0.077
0.602 0.238 0.211
0.310 0.776 0.745
0.202 0.092 0.761
0.070 0.442 0.750
0.879 0.981 0.369
0.509 0.529 0.304
0.031 0.737 0.980
0.554 0.939 0.040
0.934 0.542 0.294
0.502 0.549 0.005
0.466 0.504 0.678
0.003 0.857 0.192
0.338 0.704 0.096
0.984 0.188 0.848
0.656 0.459 0.213
0.424 0.986 0.813
0.615 0.023 0.237
0.336 0.554 0.783
```

Calculated values
The space-group type is P1 (1). The size of the total moment comes out at 0.1940 μB/atom.


2 | Entry from the Materials Project: a relaxed Ba2CaV2Si4O14 crystal (PBE+U).

POSCAR file:
```
Ba2CaV2Si4O14
1.0
0.002 0.002 5.573
7.443 0.163 0.003
0.171 7.741 -2.785
O Si V Ba Ca
14 4 2 2 1
Direct
0.412 0.561 0.269
0.648 0.256 0.257
0.894 0.952 0.305
0.923 0.561 0.290
0.145 0.438 0.730
0.545 0.500 0.000
0.010 0.216 0.015
0.507 0.000 0.000
0.416 0.957 0.301
0.392 0.744 0.742
0.589 0.048 0.695
0.994 0.784 0.985
0.636 0.439 0.711
0.115 0.042 0.699
0.639 0.478 0.211
0.429 0.522 0.789
0.610 0.038 0.205
0.405 0.962 0.794
0.111 0.793 0.218
0.894 0.206 0.782
0.219 0.242 0.416
0.803 0.758 0.582
0.077 0.500 0.999
```

Calculated values
The space-group type is P1 (1). The size of the total moment comes out at 0.1739 μB/atom.


The structure with the greatest stability is 2.


1 | Entry from the Materials Project: a relaxed Ba2LiMn2O6 crystal (PBE+U).

POSCAR file:
```
Ba2LiMn2O6
1.0
5.818 -0.045 0.000
-2.948 5.011 0.000
0.000 0.000 5.266
O Ba Li Mn
6 2 1 2
Direct
0.160 0.294 0.250
0.171 0.830 0.250
0.289 0.160 0.750
0.835 0.164 0.750
0.706 0.839 0.250
0.841 0.711 0.750
0.671 0.328 0.250
0.315 0.685 0.750
0.349 0.652 0.250
0.998 0.002 0.505
0.998 0.002 0.995
```

Calculated values
The space-group type is Amm2 (38). The size of the total moment comes out at 0.6368 μB/atom.


2 | Entry from the Materials Project: a relaxed Ba2LiMn2O6 crystal (PBE+U).

POSCAR file:
```
Ba2LiMn2O6
1.0
5.882 0.000 0.000
-2.941 5.362 -0.772
0.000 -0.715 5.174
Mn O Li Ba
2 6 1 2
Direct
0.979 0.958 0.004
0.001 0.001 0.510
0.279 0.132 0.811
0.145 0.289 0.297
0.837 0.674 0.703
0.853 0.132 0.811
0.145 0.840 0.221
0.695 0.840 0.221
0.206 0.412 0.998
0.374 0.747 0.617
0.664 0.329 0.233
```

Calculated values
The space-group type is Cm (8). The size of the total moment comes out at 0.0909 μB/atom.


The structure with the greatest stability is 2.


1 | Entry from the Materials Project: a relaxed Ba3Cr2O8 crystal (PBE+U).

POSCAR file:
```
Ba3Cr2O8
1.0
5.426 -0.005 5.836
2.289 4.927 5.837
-0.016 -0.008 7.975
Ba Cr O
3 2 8
Direct
0.998 0.006 0.996
0.207 0.206 0.206
0.793 0.793 0.794
0.592 0.594 0.592
0.407 0.409 0.406
0.756 0.278 0.269
0.330 0.319 0.336
0.727 0.244 0.729
0.677 0.662 0.676
0.722 0.730 0.244
0.243 0.729 0.723
0.270 0.275 0.756
0.277 0.756 0.273
```

Calculated values
The space-group type is P1 (1). The size of the total moment comes out at 0.1539 μB/atom.


2 | Entry from the Materials Project: a relaxed Ba3Cr2O8 crystal (PBE+U).

POSCAR file:
```
Ba3Cr2O8
1.0
-5.446 0.000 2.131
3.144 -4.933 0.003
5.430 -0.019 13.795
O Ba Cr
16 6 4
Direct
0.379 0.277 0.347
0.603 0.730 0.152
0.115 0.244 0.152
0.873 0.757 0.849
0.678 0.313 0.008
0.106 0.734 0.651
0.163 0.303 0.507
0.375 0.758 0.350
0.354 0.660 0.993
0.879 0.277 0.847
0.621 0.245 0.654
0.896 0.282 0.348
0.627 0.733 0.650
0.394 0.278 0.849
0.120 0.727 0.150
0.829 0.643 0.493
0.503 0.023 0.500
0.898 0.795 0.309
0.397 0.793 0.809
0.986 0.011 0.000
0.603 0.208 0.191
0.102 0.206 0.691
0.797 0.594 0.610
0.703 0.408 0.890
0.295 0.594 0.110
0.204 0.409 0.389
```

Calculated values
The space-group type is P1 (1). The size of the total moment comes out at 0.1524 μB/atom.


The structure with the greatest stability is 2.